Record 1
Crystalline DyAlCu at its relaxed geometry, computed with meta-GGA r2SCAN.

Computed properties:
ΔH_f (0 K): -0.50 eV per atom

Unit cell a=6.9939 b=6.9939 c=3.9883 alpha=90.00 beta=90.00 gamma=120.00
Positions (direct):
Cu (0.3333, 0.6667, 0.0000)
Cu (0.0000, 0.0000, 0.5000)
Cu (0.6667, 0.3333, 0.0000)
Dy (0.4149, 0.0000, 0.5000)
Dy (0.5851, 0.5851, 0.5000)
Dy (0.0000, 0.4149, 0.5000)
Al (0.7667, 0.0000, 0.0000)
Al (0.2333, 0.2333, 0.0000)
Al (0.0000, 0.7667, 0.0000)

=====

Record 2
Crystalline DyAl6Cu6 at its relaxed geometry, computed with meta-GGA r2SCAN.

Computed properties:
ΔH_f (0 K): -0.39 eV per atom

Unit cell a=4.9755 b=6.5794 c=6.5794 alpha=99.08 beta=112.22 gamma=67.78
Positions (direct):
Cu (0.5000, 0.0000, 0.5000)
Cu (0.5000, 0.2303, 0.2303)
Cu (0.0000, 0.0000, 0.5000)
Cu (0.5000, 0.7697, 0.7697)
Cu (0.0000, 0.5000, 0.0000)
Cu (0.5000, 0.5000, 0.0000)
Al (0.2976, 0.2024, 0.7976)
Al (0.6508, 0.3492, 0.6508)
Al (0.7024, 0.7976, 0.2024)
Al (0.0000, 0.3463, 0.3463)
Al (0.3492, 0.6508, 0.3492)
Al (0.0000, 0.6537, 0.6537)
Dy (0.0000, 0.0000, 0.0000)

=====

Record 3
Crystalline ErAl6Cu6 at its relaxed geometry, computed with meta-GGA r2SCAN.

Computed properties:
ΔH_f (0 K): -0.39 eV per atom

Unit cell a=4.9733 b=6.5636 c=6.5636 alpha=99.08 beta=112.26 gamma=67.74
Positions (direct):
Al (0.7011, 0.7989, 0.2011)
Al (0.2989, 0.2011, 0.7989)
Al (0.0000, 0.3457, 0.3457)
Al (0.3487, 0.6513, 0.3487)
Al (0.0000, 0.6543, 0.6543)
Al (0.6513, 0.3487, 0.6513)
Er (0.0000, 0.0000, 0.0000)
Cu (0.0000, 0.5000, 0.0000)
Cu (0.5000, 0.2291, 0.2291)
Cu (0.5000, 0.5000, 0.0000)
Cu (0.0000, 0.0000, 0.5000)
Cu (0.5000, 0.0000, 0.5000)
Cu (0.5000, 0.7709, 0.7709)

=====

Record 4
Crystalline Al37Fe12Cu2 at its relaxed geometry, computed with meta-GGA r2SCAN.

Computed properties:
ΔH_f (0 K): -0.23 eV per atom

Unit cell a=8.6489 b=8.6489 c=12.3234 alpha=73.90 beta=73.90 gamma=53.70
Positions (direct):
Al (0.6895, 0.6895, 0.7712)
Al (0.1610, 0.5754, 0.5236)
Al (0.0582, 0.0582, 0.8264)
Al (0.9672, 0.3942, 0.6618)
Al (0.3982, 0.9729, 0.8877)
Al (0.8420, 0.4256, 0.1086)
Al (0.5186, 0.5186, 0.8314)
Al (0.2589, 0.7209, 0.6690)
Al (0.7672, 0.7672, 0.5441)
Al (0.3264, 0.3264, 0.7219)
Al (0.0823, 0.0823, 0.2153)
Al (0.2329, 0.2329, 0.4560)
Al (0.3074, 0.3074, 0.2266)
Al (0.9729, 0.3982, 0.8877)
Al (0.8393, 0.4237, 0.4786)
Al (0.3942, 0.9672, 0.6618)
Al (0.2509, 0.7493, 0.0014)
Al (0.2389, 0.2389, 0.0471)
Al (0.5930, 0.1498, 0.8874)
Al (0.7674, 0.7674, 0.9361)
Al (0.0385, 0.6025, 0.3389)
Al (0.6025, 0.0385, 0.3389)
Al (0.5754, 0.1610, 0.5236)
Al (0.7209, 0.2589, 0.6690)
Al (0.0281, 0.5991, 0.1103)
Al (0.2887, 0.7325, 0.3355)
Al (0.5991, 0.0281, 0.1103)
Al (0.4790, 0.4790, 0.1686)
Al (0.4237, 0.8393, 0.4786)
Al (0.4256, 0.8420, 0.1086)
Al (0.1498, 0.5930, 0.8874)
Al (0.9335, 0.9335, 0.1754)
Al (0.7493, 0.2509, 0.0014)
Al (0.9251, 0.9251, 0.5875)
Al (0.7325, 0.2887, 0.3355)
Al (0.0708, 0.0708, 0.4217)
Al (0.6777, 0.6777, 0.2815)
Fe (0.0895, 0.0895, 0.0113)
Fe (0.3971, 0.3971, 0.3690)
Fe (0.9095, 0.9095, 0.9952)
Fe (0.0204, 0.6096, 0.7225)
Fe (0.9770, 0.3843, 0.2764)
Fe (0.5970, 0.5970, 0.9856)
Fe (0.4026, 0.4026, 0.0137)
Fe (0.6096, 0.0204, 0.7225)
Fe (0.6015, 0.6015, 0.6316)
Fe (0.0879, 0.0879, 0.6126)
Fe (0.3843, 0.9770, 0.2764)
Fe (0.9168, 0.9168, 0.3814)
Cu (0.4994, 0.4994, 0.5024)
Cu (0.9206, 0.9206, 0.7832)

=====

Record 5
Crystalline GdAl6Cu6 at its relaxed geometry, computed with meta-GGA r2SCAN.

Computed properties:
ΔH_f (0 K): -0.38 eV per atom

Unit cell a=6.5974 b=6.5974 c=6.5974 alpha=135.59 beta=98.98 gamma=97.44
Positions (direct):
Cu (0.0000, 0.0000, 0.5000)
Cu (0.0000, 0.5000, 0.0000)
Cu (0.5000, 0.0000, 0.0000)
Cu (0.5000, 0.5000, 0.5000)
Cu (0.7692, 0.5000, 0.2692)
Cu (0.2308, 0.5000, 0.7308)
Gd (0.0000, 0.0000, 0.0000)
Al (0.7962, 0.2962, 0.5000)
Al (0.3494, 0.3494, 0.0000)
Al (0.3468, 0.0000, 0.3468)
Al (0.2038, 0.7038, 0.5000)
Al (0.6506, 0.6506, 0.0000)
Al (0.6532, 0.0000, 0.6532)

=====

Record 6
Crystalline GdAlCu4 at its relaxed geometry, computed with meta-GGA r2SCAN.

Computed properties:
ΔH_f (0 K): -0.24 eV per atom

Unit cell a=5.1427 b=5.1427 c=4.0167 alpha=90.00 beta=90.00 gamma=120.00
Positions (direct):
Cu (0.8323, 0.6646, 0.5000)
Cu (0.3354, 0.1677, 0.5000)
Cu (0.8323, 0.1677, 0.5000)
Cu (0.6667, 0.3333, 0.0000)
Gd (0.3333, 0.6667, 0.0000)
Al (0.0000, 0.0000, 0.0000)